## Li3MgTi8O16 (PBE-GGA)

Data for a relaxed Li3MgTi8O16 crystal.

Computed properties:
* energy of formation from the pure elements: -3.210 eV per atom
* V: 11.0 Å³ per atom
* mass density: 3.70 g/cm3
* E_tot: -8.16 eV/atom

Unit cell a=10.4634 b=10.4634 c=10.4634 alpha=33.25 beta=33.25 gamma=33.25
Atoms (fractional coordinates):
Li: 0.1882 0.1882 0.1882
Li: 0.3104 0.3104 0.3104
Li: 0.8135 0.8135 0.8135
Mg: 0.9986 0.9986 0.9986
Ti: 0.7536 0.7536 0.2417
Ti: 0.5010 0.5010 0.5010
Ti: 0.2417 0.7536 0.7536
Ti: 0.7536 0.2417 0.7536
Ti: 0.6881 0.6881 0.6881
Ti: 0.2558 0.2558 0.7446
Ti: 0.2558 0.7446 0.2558
Ti: 0.7446 0.2558 0.2558
O: 0.3952 0.8413 0.3952
O: 0.8413 0.3952 0.3952
O: 0.3952 0.3952 0.8413
O: 0.6229 0.6229 0.6229
O: 0.8801 0.8801 0.8801
O: 0.1063 0.1063 0.6491
O: 0.1063 0.6491 0.1063
O: 0.6491 0.1063 0.1063
O: 0.8822 0.3651 0.8822
O: 0.3651 0.8822 0.8822
O: 0.8822 0.8822 0.3651
O: 0.1177 0.1177 0.1177
O: 0.3814 0.3814 0.3814
O: 0.6084 0.6084 0.1533
O: 0.1533 0.6084 0.6084
O: 0.6084 0.1533 0.6084